# 1
The following is a DFT calculation (r2SCAN) of an optimized crystal structure of Mn6HO12.

POSCAR file:
```
Mn6HO12
1.0
4.560 -2.884 0.000
4.560 2.884 0.000
-0.664 0.000 13.631
Mn H O
12 2 24
Cartesian
4.204 2.163 2.523
1.931 0.729 4.689
4.228 2.195 6.815
3.802 0.719 9.390
1.599 -0.729 11.505
4.555 0.755 0.002
4.134 -0.719 2.575
6.464 0.713 4.668
4.223 -0.755 6.817
3.872 -2.163 9.338
6.132 -0.713 11.483
4.560 -2.195 0.000
6.055 0.697 8.015
6.387 -0.697 1.199
3.063 2.176 8.340
3.001 2.165 12.816
0.774 0.712 12.412
2.401 0.719 10.577
4.721 2.152 10.203
5.364 2.162 0.999
3.391 0.732 1.533
1.106 -0.712 5.597
3.372 0.721 5.999
2.733 -0.719 3.762
5.032 0.711 3.374
5.090 0.717 7.854
3.059 -0.732 8.348
5.330 0.733 12.419
3.040 -0.721 12.814
4.700 -0.711 10.189
6.974 0.722 10.572
5.421 -0.717 1.038
3.395 -2.176 1.525
3.333 -2.165 6.001
5.662 -0.733 5.603
5.052 -2.152 3.387
7.306 -0.722 3.757
5.032 -2.162 7.814
```

Its space group is Cc, No. 9. For the formation energy from the elements, the calculation gives -37.30 eV/f.u.

# 2
The following is a DFT calculation (r2SCAN) of an optimized crystal structure of Sc7CoI12.

POSCAR file:
```
Sc7CoI12
1.0
7.525 4.344 3.453
-7.525 4.344 3.453
0.000 -8.689 3.453
Sc Co I
7 1 12
Cartesian
0.000 0.000 0.000
-1.933 -0.545 3.824
1.439 -1.402 3.824
0.495 1.947 3.824
-0.495 -1.947 6.534
-1.439 1.402 6.534
1.933 0.545 6.534
0.000 0.000 5.179
-0.559 -2.278 1.712
-1.694 1.623 1.712
-2.911 -2.994 5.119
-4.049 1.024 5.239
2.253 0.655 1.712
1.138 -4.018 5.239
-1.138 4.018 5.119
-2.253 -0.655 8.645
4.049 -1.024 5.119
2.911 2.994 5.239
1.694 -1.623 8.645
0.559 2.278 8.645
```

Its space group is R-3, No. 148. For the formation energy from the elements, the calculation gives -25.16 eV/f.u.

# 3
The following is a DFT calculation (r2SCAN) of an optimized crystal structure of Li2CeAs2.

POSCAR file:
```
Li2CeAs2
1.0
4.263 0.000 0.000
-2.131 3.692 0.000
0.000 0.000 6.830
Li Ce As
2 1 2
Cartesian
0.000 2.461 0.843
2.131 1.231 5.987
0.000 0.000 3.415
0.000 2.461 5.002
2.131 1.231 1.828
```

Its space group is P-3m1, No. 164. For the formation energy from the elements, the calculation gives -5.80 eV/f.u.

# 4
The following is a DFT calculation (r2SCAN) of an optimized crystal structure of As2Se3.

POSCAR file:
```
As2Se3
1.0
7.057 -1.869 0.000
7.057 1.869 0.000
-0.600 0.000 9.664
As Se
4 6
Cartesian
1.419 0.000 4.155
3.622 0.000 8.336
9.893 0.000 1.328
12.096 0.000 5.509
1.328 0.000 9.372
3.625 0.000 3.190
6.086 0.000 6.831
7.429 0.000 2.833
9.890 0.000 6.474
12.186 0.000 0.292
```

Its space group is C2/m, No. 12. For the formation energy from the elements, the calculation gives -0.56 eV/f.u.